Entry 1:
Ca2PbN2 (PBE-GGA, relaxed); mass density = 5.51 g/cm³; relative energy among the computed polymorphs = 187.7 meV/atom; E (MP2020) = -5.22 eV/atom
1.0
4.044 -0.001 0.000
-2.022 3.502 0.000
0.000 0.000 6.714
Ca N Pb
2 2 1
Direct
0.667 0.333 0.159
0.333 0.667 0.841
0.333 0.667 0.228
0.667 0.333 0.772
0.000 0.000 0.500

***

Entry 2:
Ca6Pb2SeN (PBE-GGA, relaxed); mass density = 4.41 g/cm³; E (MP2020) = -4.09 eV/atom
1.0
4.528 -5.732 0.891
0.563 -3.257 6.575
-2.759 -6.747 1.012
N Ca Pb Se
1 6 2 1
Direct
0.500 0.500 0.500
0.731 0.269 0.269
0.731 0.269 0.731
0.269 0.269 0.731
0.269 0.731 0.269
0.731 0.731 0.269
0.269 0.731 0.731
0.250 0.250 0.250
0.750 0.750 0.750
0.000 0.000 0.000

***

Entry 3:
Ca7PtN6 (PBE-GGA, relaxed); mass density = 4.01 g/cm³; E (MP2020) = -5.75 eV/atom
1.0
-4.006 4.903 0.127
4.615 7.864 -0.158
-2.170 2.536 -8.486
N Pt Ca
12 2 14
Direct
0.611 0.316 0.071
0.111 0.571 0.816
0.109 0.644 0.356
0.389 0.684 0.929
0.498 0.184 0.429
0.502 0.816 0.571
0.998 0.929 0.684
0.889 0.429 0.184
0.391 0.144 0.856
0.609 0.856 0.144
0.891 0.356 0.644
0.002 0.071 0.316
0.750 0.250 0.250
0.250 0.750 0.750
0.734 0.913 0.349
0.266 0.087 0.651
0.997 0.651 0.087
0.766 0.151 0.587
0.503 0.413 0.849
0.724 0.048 0.952
0.234 0.849 0.413
0.750 0.750 0.750
0.276 0.952 0.048
0.497 0.587 0.151
0.776 0.548 0.452
0.224 0.452 0.548
0.003 0.349 0.913
0.250 0.250 0.250

***

| no. | total DFT energy (no corrections) (eV per cell) | spin magnetization (μB/f.u.) |
| --- | --- | --- |
| 1 | -25.38 | 0.000 |
| 2 | -40.51 | 0.028 |
| 3 | -156.77 | 0.003 |